First-principles (PBE) data for PuS after structural relaxation, as listed in the Materials Project database.

VASP energy ... -10.977 eV/atom

```
data_PuS
_chemical_formula_sum 'Pu4 S4'
_symmetry_space_group_name_H-M 'F m -3 m'
_symmetry_Int_Tables_number 225
_symmetry_space_group_name_Hall '-F 4 2 3'
_cell_length_a 5.616
_cell_length_b 5.616
_cell_length_c 5.616
_cell_angle_alpha 90.00
_cell_angle_beta 90.00
_cell_angle_gamma 90.00
loop_
_atom_site_label
_atom_site_type_symbol
_atom_site_fract_x
_atom_site_fract_y
_atom_site_fract_z
Pu1 Pu 0.000 0.000 0.000
S1 S 0.000 0.000 0.500
```

***

First-principles (PBE) data for Ta2NiS5 after structural relaxation, as listed in the Materials Project database.

VASP energy ... -7.198 eV/atom

```
data_Ta2NiS5
_chemical_formula_sum 'Ta8 Ni4 S20'
_symmetry_space_group_name_H-M 'C m c m'
_symmetry_Int_Tables_number 63
_symmetry_space_group_name_Hall '-C 2c 2'
_cell_length_a 3.430
_cell_length_b 13.200
_cell_length_c 15.212
_cell_angle_alpha 90.00
_cell_angle_beta 90.00
_cell_angle_gamma 90.00
loop_
_atom_site_label
_atom_site_type_symbol
_atom_site_fract_x
_atom_site_fract_y
_atom_site_fract_z
Ta1 Ta 0.000 0.222 0.109
Ni1 Ni 0.000 0.300 0.750
S1 S 0.000 0.157 0.550
S2 S 0.000 0.312 0.250
S3 S 0.000 0.405 0.635
```

***

First-principles (PBE) data for ScC after structural relaxation, as listed in the Materials Project database.

Magnetization ... 0.04 μB per atom
Energy above the lowest structure with this stoichiometry ... 531.7 meV per atom

```
data_ScC
_chemical_formula_sum 'Sc1 C1'
_symmetry_space_group_name_H-M 'P m -3 m'
_symmetry_Int_Tables_number 221
_symmetry_space_group_name_Hall '-P 4 2 3'
_cell_length_a 2.879
_cell_length_b 2.879
_cell_length_c 2.879
_cell_angle_alpha 90.00
_cell_angle_beta 90.00
_cell_angle_gamma 90.00
loop_
_atom_site_label
_atom_site_type_symbol
_atom_site_fract_x
_atom_site_fract_y
_atom_site_fract_z
Sc1 Sc 0.000 0.000 0.000
C1 C 0.500 0.500 0.500
```